Entry a
The following is a DFT calculation (GGA-PBE) of an optimized crystal structure of CsPrP4O12.

Computed properties:
Maximum piezoelectric response in C/m2: 0.14
Space-group type: P2_1, No. 4

a = 9.354 Å, b = 7.262 Å, c = 8.938 Å
α = 80.51°, β = 90.00°, γ = 90.00°
Fractional positions:
1 O 0.597 0.046 0.200
2 O 0.839 0.275 0.388
3 O 0.966 0.509 0.183
4 O 0.249 0.152 0.594
5 O 0.482 0.787 0.362
6 O 0.339 0.725 0.612
7 O 0.749 0.848 0.406
8 O 0.234 0.662 0.367
9 O 0.051 0.927 0.528
10 O 0.734 0.338 0.633
11 O 0.982 0.213 0.638
12 O 0.441 0.458 0.491
13 O 0.533 0.843 0.770
14 O 0.648 0.142 0.924
15 O 0.148 0.858 0.076
16 O 0.033 0.157 0.230
17 O 0.327 0.074 0.908
18 O 0.551 0.073 0.472
19 O 0.097 0.954 0.800
20 O 0.294 0.725 0.887
21 O 0.794 0.275 0.113
22 O 0.827 0.926 0.092
23 O 0.941 0.542 0.509
24 O 0.466 0.491 0.817
25 Pr 0.996 0.800 0.302
26 Pr 0.496 0.200 0.698
27 P 0.221 0.916 0.928
28 P 0.105 0.062 0.624
29 P 0.605 0.938 0.376
30 P 0.870 0.355 0.543
31 P 0.922 0.308 0.227
32 P 0.370 0.645 0.457
33 P 0.721 0.084 0.072
34 P 0.422 0.692 0.773
35 Cs 0.331 0.330 0.173
36 Cs 0.831 0.670 0.827

Entry b
The following is a DFT calculation (GGA-PBE) of an optimized crystal structure of CsPrP4O12.

Computed properties:
Space-group type: P2_1/c, No. 14

a = 9.200 Å, b = 10.675 Å, c = 13.202 Å
α = 55.82°, β = 90.00°, γ = 90.00°
Fractional positions:
1 P 0.324 0.676 0.863
2 P 0.176 0.676 0.363
3 P 0.602 0.800 0.025
4 P 0.676 0.324 0.137
5 P 0.824 0.324 0.637
6 P 0.102 0.200 0.475
7 P 0.398 0.200 0.975
8 P 0.898 0.800 0.525
9 P 0.907 0.384 0.259
10 P 0.407 0.616 0.241
11 P 0.593 0.384 0.759
12 P 0.093 0.616 0.741
13 P 0.469 0.967 0.784
14 P 0.531 0.033 0.216
15 P 0.031 0.967 0.284
16 P 0.969 0.033 0.716
17 O 0.244 0.573 0.486
18 O 0.537 0.366 0.171
19 O 0.794 0.277 0.245
20 O 0.843 0.700 0.487
21 O 0.550 0.265 0.901
22 O 0.921 0.925 0.224
23 O 0.840 0.160 0.657
24 O 0.206 0.723 0.755
25 O 0.340 0.840 0.843
26 O 0.037 0.634 0.329
27 O 0.295 0.162 0.908
28 O 0.744 0.427 0.014
29 O 0.536 0.579 0.322
30 O 0.464 0.421 0.678
31 O 0.902 0.879 0.793
32 O 0.823 0.512 0.249
33 O 0.205 0.162 0.408
34 O 0.795 0.838 0.592
35 O 0.079 0.075 0.776
36 O 0.660 0.160 0.157
37 O 0.963 0.366 0.671
38 O 0.256 0.573 0.986
39 O 0.036 0.421 0.178
40 O 0.160 0.840 0.343
41 O 0.462 0.047 0.096
42 O 0.343 0.300 0.013
43 O 0.677 0.512 0.749
44 O 0.402 0.121 0.707
45 O 0.579 0.925 0.724
46 O 0.463 0.634 0.829
47 O 0.962 0.953 0.404
48 O 0.038 0.047 0.596
49 O 0.157 0.300 0.513
50 O 0.950 0.265 0.401
51 O 0.705 0.838 0.092
52 O 0.294 0.723 0.255
53 O 0.098 0.121 0.207
54 O 0.421 0.075 0.276
55 O 0.706 0.277 0.745
56 O 0.657 0.700 0.987
57 O 0.598 0.879 0.293
58 O 0.756 0.427 0.514
59 O 0.177 0.488 0.751
60 O 0.450 0.735 0.099
61 O 0.050 0.735 0.599
62 O 0.323 0.488 0.251
63 O 0.964 0.579 0.822
64 O 0.538 0.953 0.904
65 Cs 0.566 0.226 0.461
66 Cs 0.934 0.226 0.961
67 Cs 0.434 0.774 0.539
68 Cs 0.066 0.774 0.039
69 Pr 0.774 0.683 0.318
70 Pr 0.226 0.317 0.682
71 Pr 0.274 0.317 0.182
72 Pr 0.726 0.683 0.818

The data favor entry a; the next most stable structure lies 0.7 kJ/mol of atoms above it.

Entry a
The following is a DFT calculation (GGA-PBE) of an optimized crystal structure of CsSmP4O12.

Computed properties:
Space-group type: Cc, No. 9

a = 13.254 Å, b = 13.251 Å, c = 13.254 Å
α = 70.53°, β = 70.52°, γ = 109.47°
Fractional positions:
1 Cs 0.263 0.762 0.737
2 Cs 0.763 0.262 0.237
3 Cs 0.499 0.737 0.001
4 Cs 0.738 0.501 0.499
5 Cs 0.001 0.001 0.762
6 Cs 0.499 0.237 0.001
7 P 0.326 0.506 0.914
8 P 0.821 0.494 0.920
9 P 0.414 0.421 0.259
10 P 0.079 0.319 0.007
11 P 0.506 0.327 0.414
12 P 0.922 0.242 0.585
13 P 0.180 0.673 0.242
14 P 0.759 0.680 0.826
15 P 0.674 0.180 0.741
16 P 0.007 0.585 0.672
17 P 0.241 0.921 0.086
18 P 0.258 0.173 0.320
19 P 0.828 0.085 0.493
20 P 0.741 0.914 0.080
21 P 0.420 0.414 0.759
22 P 0.173 0.259 0.820
23 P 0.580 0.994 0.679
24 P 0.586 0.006 0.174
25 P 0.086 0.827 0.994
26 P 0.493 0.819 0.421
27 P 0.994 0.580 0.180
28 P 0.680 0.759 0.327
29 P 0.320 0.080 0.506
30 P 0.915 0.742 0.578
31 O 0.699 0.183 0.842
32 O 0.588 0.960 0.303
33 O 0.197 0.460 0.912
34 O 0.541 0.738 0.371
35 O 0.912 0.609 0.628
36 O 0.200 0.159 0.816
37 O 0.129 0.238 0.959
38 O 0.695 0.133 0.087
39 O 0.658 0.683 0.801
40 O 0.872 0.109 0.588
41 O 0.684 0.659 0.300
42 O 0.763 0.891 0.197
43 O 0.718 0.780 0.415
44 O 0.301 0.484 0.041
45 O 0.459 0.984 0.199
46 O 0.025 0.342 0.457
47 O 0.912 0.196 0.367
48 O 0.413 0.633 0.805
49 O 0.372 0.412 0.891
50 O 0.474 0.016 0.683
51 O 0.562 0.867 0.720
52 O 0.391 0.303 0.237
53 O 0.109 0.872 0.088
54 O 0.284 0.087 0.280
55 O 0.867 0.562 0.220
56 O 0.043 0.842 0.475
57 O 0.803 0.263 0.609
58 O 0.412 0.372 0.391
59 O 0.842 0.041 0.974
60 O 0.697 0.088 0.540
61 O 0.085 0.280 0.782
62 O 0.982 0.457 0.701
63 O 0.062 0.282 0.133
64 O 0.817 0.516 0.026
65 O 0.958 0.800 0.016
66 O 0.891 0.763 0.697
67 O 0.633 0.413 0.305
68 O 0.305 0.438 0.280
69 O 0.484 0.300 0.542
70 O 0.220 0.938 0.195
71 O 0.737 0.540 0.872
72 O 0.587 0.220 0.718
73 O 0.220 0.587 0.216
74 O 0.975 0.317 0.984
75 O 0.183 0.701 0.342
76 O 0.936 0.216 0.697
77 O 0.438 0.305 0.782
78 O 0.609 0.912 0.128
79 O 0.303 0.391 0.737
80 O 0.718 0.805 0.062
81 O 0.195 0.913 0.867
82 O 0.040 0.628 0.263
83 O 0.542 0.525 0.158
84 O 0.158 0.201 0.317
85 O 0.088 0.697 0.040
86 O 0.803 0.716 0.564
87 O 0.317 0.974 0.484
88 O 0.516 0.817 0.525
89 O 0.133 0.696 0.588
90 O 0.367 0.782 0.438
91 O 0.526 0.541 0.658
92 O 0.280 0.062 0.633
93 O 0.960 0.588 0.803
94 O 0.237 0.128 0.460
95 O 0.016 0.474 0.183
96 O 0.263 0.803 0.109
97 O 0.628 0.040 0.763
98 O 0.780 0.367 0.938
99 O 0.782 0.720 0.913
100 O 0.460 0.197 0.412
101 O 0.342 0.025 0.958
102 O 0.799 0.957 0.518
103 Sm 0.248 0.873 0.375
104 Sm 0.374 0.125 0.751
105 Sm 0.749 0.625 0.126
106 Sm 0.628 0.752 0.621
107 Sm 0.125 0.373 0.252
108 Sm 0.879 0.252 0.872

Entry b
The following is a DFT calculation (GGA-PBE) of an optimized crystal structure of CsSmP4O12.

Computed properties:
Space-group type: P2_1/c, No. 14

a = 9.082 Å, b = 10.591 Å, c = 13.108 Å
α = 56.46°, β = 90.00°, γ = 90.00°
Fractional positions:
1 O 0.038 0.452 0.407
2 O 0.707 0.218 0.257
3 O 0.839 0.339 0.345
4 O 0.902 0.620 0.209
5 O 0.450 0.767 0.900
6 O 0.538 0.548 0.093
7 O 0.174 0.016 0.248
8 O 0.826 0.984 0.752
9 O 0.792 0.665 0.404
10 O 0.339 0.200 0.986
11 O 0.757 0.070 0.489
12 O 0.326 0.016 0.748
13 O 0.243 0.930 0.511
14 O 0.040 0.080 0.822
15 O 0.339 0.661 0.155
16 O 0.082 0.421 0.228
17 O 0.967 0.133 0.331
18 O 0.708 0.665 0.904
19 O 0.661 0.339 0.845
20 O 0.402 0.380 0.291
21 O 0.208 0.335 0.596
22 O 0.161 0.200 0.486
23 O 0.550 0.233 0.100
24 O 0.460 0.080 0.322
25 O 0.918 0.579 0.772
26 O 0.533 0.133 0.831
27 O 0.540 0.920 0.678
28 O 0.161 0.661 0.655
29 O 0.462 0.452 0.907
30 O 0.661 0.800 0.014
31 O 0.292 0.335 0.096
32 O 0.839 0.800 0.514
33 O 0.962 0.548 0.593
34 O 0.793 0.218 0.757
35 O 0.950 0.233 0.600
36 O 0.960 0.920 0.178
37 O 0.674 0.984 0.252
38 O 0.743 0.070 0.989
39 O 0.207 0.782 0.243
40 O 0.098 0.380 0.791
41 O 0.582 0.579 0.272
42 O 0.418 0.421 0.728
43 O 0.598 0.620 0.709
44 O 0.257 0.930 0.011
45 O 0.050 0.767 0.400
46 O 0.033 0.867 0.669
47 O 0.293 0.782 0.743
48 O 0.467 0.867 0.169
49 Sm 0.226 0.184 0.319
50 Sm 0.774 0.816 0.681
51 Sm 0.726 0.816 0.181
52 Sm 0.274 0.184 0.819
53 P 0.470 0.534 0.213
54 P 0.174 0.827 0.635
55 P 0.409 0.887 0.759
56 P 0.030 0.534 0.713
57 P 0.591 0.113 0.241
58 P 0.091 0.887 0.259
59 P 0.326 0.827 0.135
60 P 0.895 0.701 0.474
61 P 0.395 0.299 0.026
62 P 0.605 0.701 0.974
63 P 0.826 0.173 0.365
64 P 0.674 0.173 0.865
65 P 0.970 0.466 0.287
66 P 0.105 0.299 0.526
67 P 0.909 0.113 0.741
68 P 0.530 0.466 0.787
69 Cs 0.934 0.277 0.039
70 Cs 0.566 0.277 0.539
71 Cs 0.066 0.723 0.961
72 Cs 0.434 0.723 0.461

The data favor entry a; the next most stable structure lies 0.7 kJ/mol of atoms above it.

Entry a
The following is a DFT calculation (GGA-PBE) of an optimized crystal structure of CsTi3P5O19.

Computed properties:
Space-group type: Cc, No. 9

a = 10.126 Å, b = 10.126 Å, c = 8.919 Å
α = 84.25°, β = 84.25°, γ = 112.77°
Fractional positions:
1 O 0.729 0.430 0.334
2 O 0.966 0.404 0.826
3 O 0.218 0.380 0.302
4 O 0.815 0.384 0.609
5 O 0.327 0.842 0.635
6 O 0.311 0.293 0.078
7 O 0.856 0.580 0.956
8 O 0.659 0.955 0.928
9 O 0.617 0.185 0.891
10 O 0.621 0.783 0.198
11 O 0.343 0.046 0.073
12 O 0.672 0.158 0.364
13 O 0.185 0.617 0.391
14 O 0.558 0.406 0.591
15 O 0.034 0.596 0.175
16 O 0.842 0.327 0.135
17 O 0.570 0.271 0.166
18 O 0.419 0.144 0.544
19 O 0.380 0.218 0.802
20 O 0.430 0.729 0.834
21 O 0.594 0.442 0.909
22 O 0.271 0.570 0.666
23 O 0.689 0.707 0.923
24 O 0.596 0.034 0.675
25 O 0.163 0.837 0.250
26 O 0.158 0.672 0.864
27 O 0.384 0.815 0.109
28 O 0.707 0.689 0.423
29 O 0.046 0.343 0.573
30 O 0.837 0.163 0.750
31 O 0.144 0.419 0.044
32 O 0.404 0.966 0.326
33 O 0.783 0.621 0.698
34 O 0.442 0.594 0.409
35 O 0.580 0.856 0.456
36 O 0.955 0.659 0.428
37 O 0.406 0.558 0.091
38 O 0.293 0.311 0.578
39 P 0.919 0.335 0.685
40 P 0.665 0.081 0.815
41 P 0.081 0.665 0.315
42 P 0.730 0.585 0.872
43 P 0.335 0.919 0.185
44 P 0.297 0.703 0.749
45 P 0.269 0.415 0.128
46 P 0.703 0.297 0.249
47 P 0.415 0.269 0.628
48 P 0.585 0.730 0.372
49 Cs 0.926 0.062 0.160
50 Cs 0.062 0.926 0.660
51 Ti 0.001 0.503 0.999
52 Ti 0.469 0.249 0.990
53 Ti 0.530 0.750 0.009
54 Ti 0.503 0.001 0.499
55 Ti 0.750 0.530 0.509
56 Ti 0.249 0.469 0.490

Entry b
The following is a DFT calculation (GGA-PBE) of an optimized crystal structure of CsTi3P5O19.

Computed properties:
Space-group type: Cm, No. 8

a = 8.581 Å, b = 8.581 Å, c = 6.402 Å
α = 81.39°, β = 81.39°, γ = 113.20°
Fractional positions:
1 P 0.317 0.610 0.270
2 P 0.815 0.185 0.000
3 P 0.670 0.670 0.697
4 P 0.610 0.317 0.270
5 P 0.185 0.815 0.000
6 O 0.823 0.014 0.096
7 O 0.485 0.663 0.738
8 O 0.250 0.475 0.134
9 O 0.773 0.773 0.848
10 O 0.322 0.998 0.887
11 O 0.998 0.322 0.887
12 O 0.706 0.515 0.220
13 O 0.014 0.823 0.096
14 O 0.663 0.485 0.738
15 O 0.770 0.770 0.461
16 O 0.166 0.685 0.859
17 O 0.235 0.525 0.510
18 O 0.316 0.316 0.814
19 O 0.515 0.706 0.220
20 O 0.685 0.166 0.859
21 O 0.475 0.250 0.134
22 O 0.247 0.757 0.214
23 O 0.525 0.235 0.510
24 O 0.757 0.247 0.214
25 Ti 0.765 0.765 0.157
26 Ti 0.244 0.491 0.818
27 Ti 0.491 0.244 0.818
28 Cs 0.098 0.098 0.476

The data favor entry b; the next most stable structure lies 0.7 kJ/mol of atoms above it.